This record from the Materials Project database describes crystalline HfMg14GaO16 at its relaxed geometry. The functional is GGA-PBE.

Summary:
- Magnetization: 0.79 μB/f.u.
- Uncorrected energy: -6.0693 eV/atom
- Energy of formation from the pure elements: -2.833 eV per atom
- ρ: 4.2 g/cm³
- E (MP2020): -205.21 eV/cell

Geometry as POSCAR:
```
HfMg14GaO16
1.0
8.743 0.000 0.000
0.000 8.743 0.000
0.000 0.000 4.341
Hf Mg Ga O
1 14 1 16
Direct
0.000 0.000 0.000
0.000 0.261 0.500
0.000 0.500 0.000
0.000 0.739 0.500
0.251 0.500 0.500
0.259 0.259 0.000
0.259 0.741 0.000
0.261 0.000 0.500
0.500 0.000 0.000
0.500 0.251 0.500
0.500 0.749 0.500
0.739 0.000 0.500
0.741 0.259 0.000
0.741 0.741 0.000
0.749 0.500 0.500
0.500 0.500 0.000
0.000 0.000 0.500
0.000 0.246 0.000
0.000 0.500 0.500
0.000 0.754 0.000
0.225 0.500 0.000
0.246 0.000 0.000
0.249 0.249 0.500
0.249 0.751 0.500
0.500 0.000 0.500
0.500 0.225 0.000
0.500 0.500 0.500
0.500 0.775 0.000
0.751 0.249 0.500
0.751 0.751 0.500
0.754 0.000 0.000
0.775 0.500 0.000
```